The following is a GGA-PBE calculation of crystalline YZr3F15 at its relaxed geometry, from the Materials Project.

Lattice parameters (Å, degrees): 8.217 8.223 16.437 100.23 100.20 100.19
Space group P-1 (No. 2)
One atom of each set of equivalent atoms:
Y 0.177 0.323 0.126
Y 0.251 0.822 0.589
Zr 0.177 0.323 0.626
Zr 0.249 0.250 0.875
Zr 0.250 0.251 0.376
Zr 0.252 0.823 0.088
Zr 0.323 0.751 0.338
Zr 0.324 0.750 0.839
F 0.005 0.776 0.640
F 0.006 0.776 0.140
F 0.029 0.747 0.477
F 0.045 0.753 0.986
F 0.053 0.686 0.326
F 0.065 0.684 0.825
F 0.152 0.064 0.593
F 0.155 0.040 0.091
F 0.182 0.539 0.577
F 0.187 0.565 0.076
F 0.222 0.992 0.360
F 0.224 0.220 0.249
F 0.224 0.224 0.746
F 0.224 0.994 0.863
F 0.248 0.533 0.732
F 0.255 0.546 0.237
F 0.277 0.506 0.889
F 0.277 0.507 0.389
F 0.279 0.275 0.504
F 0.282 0.278 0.001
F 0.313 0.848 0.221
F 0.322 0.845 0.732
F 0.349 0.814 0.467
F 0.350 0.815 0.974
F 0.446 0.347 0.657
F 0.461 0.347 0.160
F 0.465 0.034 0.121
F 0.473 0.045 0.632
F 0.494 0.726 0.113
F 0.496 0.718 0.611

**Calculated density**: 4.09 g cm⁻³
**Calculated formation energy**: -4.110 eV/atom